Entry from the Materials Project database: a geometry-optimized Sb28Mo9Ru3 structure (PBE-GGA).

Cell and atoms, written as POSCAR:
```
Sb28Mo9Ru3
1.0
-7.9027 -2.5859 -0.4737
-0.2348 -8.3195 -0.3089
-0.6816 -0.5207 13.5899
Sb Mo Ru
28 9 3
Cartesian
-6.9964 -6.5548 6.2545
-3.2601 -1.3683 13.4336
-0.1601 -5.6167 -0.2069
-4.3385 -3.0119 6.5067
-3.0549 -6.5661 4.2221
-7.2315 -3.9565 10.9442
-6.7701 -3.6115 1.7535
-3.2788 -6.7290 8.6406
-1.8424 -4.8784 6.5604
-5.3350 -1.7473 -0.3181
-0.7618 -3.2364 13.4873
-4.4821 -8.4349 6.3086
-1.5995 -7.4778 1.8647
-5.7647 -4.8701 8.5872
-5.5499 -4.7005 4.1684
-2.0535 -7.8283 11.0555
-5.1848 -6.8993 1.2048
-1.4313 -1.6729 8.3891
-3.1308 -4.1454 1.4463
-7.5476 -9.8687 7.8345
-0.3029 -4.3055 3.2383
-4.4717 -1.6916 9.9687
-1.2802 -1.5681 5.0056
-5.6973 -7.2918 11.3938
-7.3724 -9.7337 4.3761
-3.6301 -4.5217 11.5836
-4.1323 -1.4421 3.1559
-0.6342 -4.5611 10.0512
-1.9533 -2.2923 11.1308
-7.0207 -3.7479 6.3405
-2.8614 -6.3580 -0.3603
-2.8852 -3.7377 4.2042
-7.2933 -9.4491 10.5984
-6.8537 -9.1173 1.6898
-3.1281 -3.9289 8.8512
-5.2787 -4.5505 -0.4123
-1.7860 -7.6620 6.4531
-1.4945 -1.9360 2.1811
-5.9055 -7.6516 8.5599
-5.6706 -7.4693 3.9738
```

Summary:
ΔE_f: -0.09 eV/atom
Space-group type: No. 8
Crystal system: monoclinic

=====

Entry from the Materials Project database: a geometry-optimized Ta2MoRu structure (PBE-GGA).

Cell and atoms, written as POSCAR:
```
Ta2MoRu
1.0
0.0000 3.2020 3.2020
3.2020 0.0000 3.2020
3.2020 3.2020 0.0000
Ta Mo Ru
2 1 1
Cartesian
1.6010 1.6010 1.6010
4.8030 4.8030 4.8030
3.2020 3.2020 3.2020
0.0000 0.0000 0.0000
```

Summary:
ΔE_f: -0.37 eV/atom
Space-group type: No. 225
Crystal system: cubic

=====

Entry from the Materials Project database: a geometry-optimized Te4Mo2Ru structure (PBE-GGA).

Cell and atoms, written as POSCAR:
```
Te4Mo2Ru
1.0
7.1194 0.0000 0.0000
-0.4821 7.1438 0.0000
-0.3633 -0.3525 7.1543
Te Mo Ru
8 4 2
Cartesian
5.8847 1.6677 4.4686
1.3572 4.0878 6.2759
3.8924 6.2227 1.9833
0.3907 5.1429 2.6887
5.0563 2.6736 0.8117
2.3455 0.5742 5.2780
4.8861 5.3064 5.6319
1.2871 1.4353 1.5020
4.9282 4.0213 3.2310
2.6117 3.8350 1.7689
3.6037 1.6455 2.9392
1.3613 2.7689 3.8858
3.6680 2.9435 5.4026
2.6452 5.2145 4.2125
```

Summary:
ΔE_f: -0.29 eV/atom
Space-group type: No. 1
Crystal system: triclinic

=====

Entry from the Materials Project database: a geometry-optimized V2MoRu structure (PBE-GGA).

Cell and atoms, written as POSCAR:
```
V2MoRu
1.0
0.0000 3.0393 3.0393
3.0393 0.0000 3.0393
3.0393 3.0393 0.0000
V Mo Ru
2 1 1
Cartesian
1.5197 1.5197 1.5197
4.5590 4.5590 4.5590
3.0393 3.0393 3.0393
0.0000 0.0000 0.0000
```

Summary:
ΔE_f: -0.26 eV/atom
Space-group type: No. 225
Crystal system: cubic

=====

Entry from the Materials Project database: a geometry-optimized Mo3S4 structure (PBE-GGA).

Cell and atoms, written as POSCAR:
```
Mo3S4
1.0
-0.9179 1.6668 -6.2085
-6.3511 0.5389 1.2407
1.0055 6.1938 1.6712
Mo S
6 8
Cartesian
-2.2157 3.9817 0.1059
-1.4450 3.5426 -2.4772
-3.6551 2.2861 -1.4792
-4.0479 4.4177 -3.4026
-4.8186 4.8568 -0.8195
-2.6084 6.1133 -1.8175
-0.4645 5.2575 -1.0211
-3.0049 2.2546 -3.8454
-4.3857 3.0216 0.7321
-5.7990 3.1419 -2.2756
-3.2586 6.1448 0.5487
-1.8779 5.3778 -4.0288
-1.3845 1.8566 -0.7287
-4.8791 6.5428 -2.5680
```

Summary:
ΔE_f: -0.97 eV/atom
Space-group type: No. 148
Crystal system: trigonal
Energy above the lowest structure with this stoichiometry: 0.0 meV/atom
MP2020-corrected energy: -7.977 eV per atom

=====

Entry from the Materials Project database: a geometry-optimized Mo3S4 structure (PBE-GGA).

Cell and atoms, written as POSCAR:
```
Mo3S4
1.0
6.3789 0.0000 0.0000
-1.5967 6.4648 0.0000
-3.1725 -2.5165 5.5557
Mo S
6 8
Cartesian
1.3895 5.2072 2.7592
0.2202 -1.2590 2.7965
0.0716 1.2780 4.5578
1.5381 2.6702 0.9978
-3.2367 1.2842 4.4936
4.8463 2.6641 1.0620
1.5681 4.9498 0.2946
0.0416 -1.0015 5.2610
3.1922 3.4065 2.9288
-1.5825 0.5418 2.6268
-3.1968 -1.0246 5.1932
4.8065 4.9728 0.3624
1.5949 0.6794 2.6076
0.0148 3.2688 2.9480
```

Summary:
ΔE_f: -0.92 eV/atom
Space-group type: No. 2
Crystal system: triclinic
Energy above the lowest structure with this stoichiometry: 45.6 meV/atom
MP2020-corrected energy: -7.931 eV per atom

=====

Entry from the Materials Project database: a geometry-optimized Mo7S8 structure (PBE-GGA).

Cell and atoms, written as POSCAR:
```
Mo7S8
1.0
6.4426 0.0000 0.0000
-0.7446 6.4714 0.0000
-1.0258 -1.1112 12.9938
Mo S
14 16
Cartesian
0.4637 5.7812 0.1321
0.7556 2.4062 3.5405
0.3288 1.6143 10.0235
2.0742 3.5310 1.3766
1.5699 2.8353 7.8873
1.9883 4.8406 3.8079
1.6743 4.1185 10.4046
3.0487 1.2946 2.6402
2.6034 0.5764 9.1163
3.0384 2.6079 5.0653
2.6346 1.8831 11.5755
4.3091 3.7028 2.9201
3.8890 2.9552 9.4457
-1.0427 4.6673 7.0913
0.0908 4.6555 2.2915
-0.2828 3.8567 9.1292
0.9365 1.3861 1.3352
0.5004 0.4433 7.8298
0.7312 3.7168 5.6309
0.3858 2.8250 12.0383
1.8181 0.5551 4.6845
1.3872 -0.2097 11.3208
3.2761 5.6009 1.7887
2.8298 4.8729 8.2444
4.2588 2.4136 0.8789
3.7087 1.7864 7.3403
4.1033 4.8613 5.0506
3.8533 4.0390 11.7080
4.9479 1.5908 4.0717
4.5199 0.8090 10.5356
```

Summary:
ΔE_f: -0.84 eV/atom
Space-group type: No. 1
Crystal system: triclinic
MP2020-corrected energy: -8.105 eV per atom

=====

Entry from the Materials Project database: a geometry-optimized Mo3S4 structure (PBE-GGA).

Cell and atoms, written as POSCAR:
```
Mo3S4
1.0
-2.9434 2.1547 1.2450
-5.8196 -12.5300 4.3592
9.6966 6.9589 2.6444
Mo S
6 8
Cartesian
-6.2999 -7.2159 4.9809
0.6038 -1.0231 3.2071
-3.7774 -7.6731 5.3607
7.2334 3.7994 3.2677
0.3298 -2.3934 5.0415
4.7110 4.2567 2.8879
-0.8559 -1.9760 1.7558
-0.1540 1.0800 3.7240
5.7016 2.2548 3.8636
1.7895 -1.4404 6.4928
1.0875 -4.4964 4.5247
-4.7680 -5.6712 4.3851
-2.2475 -6.1006 6.6148
3.1811 2.6841 1.6338
```

Summary:
ΔE_f: -0.34 eV/atom
Space-group type: No. 2
Crystal system: triclinic
Energy above the lowest structure with this stoichiometry: 627.6 meV/atom
MP2020-corrected energy: -7.349 eV per atom

=====

Entry from the Materials Project database: a geometry-optimized Mo15S19 structure (PBE-GGA).

Cell and atoms, written as POSCAR:
```
Mo15S19
1.0
-5.8484 4.9815 -5.2322
5.0979 -6.7441 -3.8631
-13.9966 -12.6455 3.6054
Mo S
30 38
Cartesian
-6.6548 -1.3059 -4.8416
-9.1020 -12.6943 -3.1380
-9.9505 -11.1626 -1.0599
-4.7965 -3.2454 -4.4300
-5.6450 -1.7138 -2.3519
-8.0922 -13.1021 -0.6484
-6.4465 -11.9701 -2.5798
-3.0639 -1.3396 -3.3103
-4.0501 -0.9682 -5.8363
-7.3335 -10.4011 -0.5200
-8.3197 -10.0297 -3.0460
-4.9371 0.6008 -3.7765
-8.3005 -2.4380 -2.9101
-11.6831 -13.0685 -2.1796
-10.6969 -13.4398 0.3464
-7.4136 -4.0070 -4.9699
-6.4274 -4.3784 -2.4439
-9.8100 -15.0088 -1.7134
-7.0636 -4.7617 0.5849
-13.1480 -12.2462 1.8605
-8.9313 -17.4318 0.0424
-11.0518 -1.7069 -4.1836
-6.8351 -6.8925 -6.0017
-12.9196 -14.3770 -4.7261
-7.6835 -9.6463 -6.0749
-1.5990 -2.1619 -7.3505
-5.8157 3.0237 -5.5323
-3.6953 -12.7011 -1.3064
-7.9119 -7.5155 0.5118
-1.8275 -0.0311 -0.7638
-8.7192 -4.8172 -3.0965
-12.0687 -15.0485 -0.8374
-6.0279 -9.5908 -2.3935
-2.6784 0.6405 -4.6525
-9.2205 -8.3304 2.3751
-2.2222 -2.0077 0.5724
-4.7761 -4.3151 1.2303
-11.7744 -10.6378 3.0330
-7.3394 0.0067 -2.8952
-10.7676 -10.9208 -3.3837
-8.9695 -11.6235 1.1321
-5.7776 -2.7846 -6.6220
-3.9794 -3.4873 -2.1062
-7.4077 -14.4147 -2.5947
-5.8582 -12.3222 -0.2136
-4.1520 -0.0080 -1.5462
-8.3481 -7.9891 -4.4076
-2.5541 -2.8149 -5.1877
-7.5922 -11.6870 -4.7172
-5.8859 0.6272 -6.0498
-8.8888 -2.0858 -5.2763
-10.5951 -14.4001 -3.9437
-12.1930 -11.5932 -0.3022
-5.5570 -5.5279 -4.4142
-7.1549 -2.7210 -0.7727
-8.8611 -15.0353 0.5599
-9.3598 -5.5512 0.2154
-0.7345 -1.3013 -2.5414
2.8040 -5.2737 -2.7373
-11.8866 -4.0167 -4.2118
-15.0242 -10.6688 1.6745
-6.3989 -6.4190 -1.0823
-2.8605 -10.3914 -1.2782
-17.5510 -9.1343 -2.7526
-14.0126 -13.1067 -2.9485
-5.3872 -8.8569 -5.7053
0.2772 -3.7392 -7.1644
-9.1901 -8.8802 -1.0757
```

Summary:
ΔE_f: -0.93 eV/atom
Space-group type: No. 176
Crystal system: hexagonal
MP2020-corrected energy: -8.021 eV per atom

=====

Entry from the Materials Project database: a geometry-optimized Sb2MoS structure (PBE-GGA).

Cell and atoms, written as POSCAR:
```
Sb2MoS
1.0
9.5975 -10.8006 -12.0189
12.0363 -5.0132 -13.5356
5.0706 -1.0589 4.1129
Sb Mo S
16 8 8
Cartesian
25.4517 -16.5003 -22.0346
1.2526 -0.3724 0.5930
14.6335 -8.5924 -9.2557
12.0708 -8.2803 -12.1859
24.4479 -15.4286 -19.5595
2.2564 -1.4442 -1.8822
19.6372 -10.0184 -13.5238
8.2851 -3.9639 -8.6754
7.0671 -6.8543 -7.9179
18.4192 -12.9088 -12.7663
13.6298 -7.5209 -6.7812
13.0745 -9.3518 -14.6604
20.5875 -11.2270 -15.9921
7.2258 -3.0141 -6.1392
6.1168 -5.6457 -5.4495
19.4786 -13.8586 -15.3024
20.6608 -14.2312 -21.0802
6.0435 -2.6415 -0.3614
15.8683 -8.8329 -15.0735
12.0563 -5.1439 -7.1271
10.8360 -8.0398 -6.3682
14.6480 -11.7288 -14.3145
9.8423 -6.3245 -8.3062
16.8620 -10.5482 -13.1354
10.0823 -5.8149 -5.9760
16.6220 -11.0578 -15.4656
16.1055 -8.3231 -12.7436
11.8186 -5.6552 -9.4566
10.5989 -8.5496 -8.6980
14.8857 -11.2176 -11.9850
20.8986 -13.7210 -18.7510
5.8057 -3.1517 -2.6906
```

Summary:
ΔE_f: -0.45 eV/atom
Space-group type: No. 12
Crystal system: monoclinic
MP2020-corrected energy: -6.259 eV per atom

=====

Entry from the Materials Project database: a geometry-optimized SbMo2S2 structure (PBE-GGA).

Cell and atoms, written as POSCAR:
```
SbMo2S2
1.0
3.2036 0.0000 0.0000
0.0000 6.6161 0.0000
0.0000 2.6308 9.1573
Sb Mo S
2 4 4
Cartesian
2.4027 8.3303 6.0547
0.8009 0.9166 3.1026
2.4027 6.2208 1.0519
2.4027 5.7481 4.7693
0.8009 3.0261 8.1054
0.8009 3.4989 4.3880
0.8009 7.4931 9.0929
0.8009 4.9235 6.3065
2.4027 1.7539 0.0645
2.4027 4.3235 2.8508
```

Summary:
ΔE_f: -0.73 eV/atom
Space-group type: No. 11
Crystal system: monoclinic
MP2020-corrected energy: -7.548 eV per atom

=====

Entry from the Materials Project database: a geometry-optimized MoSeS structure (PBE-GGA).

Cell and atoms, written as POSCAR:
```
MoSeS
1.0
1.6280 -2.8199 0.0000
1.6280 2.8199 0.0000
0.0000 0.0000 22.9861
Mo Se S
2 2 2
Cartesian
0.0000 0.0000 3.4579
1.6280 0.9400 10.3769
0.0000 0.0000 12.0749
0.0000 0.0000 8.6783
1.6280 0.9400 1.9143
1.6280 0.9400 5.0014
```

Summary:
ΔE_f: -0.92 eV/atom
Space-group type: No. 156
Crystal system: trigonal
Energy above the lowest structure with this stoichiometry: 3.1 meV/atom
MP2020-corrected energy: -7.083 eV per atom

=====

Entry from the Materials Project database: a geometry-optimized MoSeS structure (PBE-GGA).

Cell and atoms, written as POSCAR:
```
MoSeS
1.0
-1.7435 2.7487 -0.0643
-1.5039 -2.8849 -0.1224
-2.0950 -0.4680 36.7791
Mo Se S
4 4 4
Cartesian
-0.1968 -0.0440 3.4543
-0.9839 -0.2198 17.2735
-2.1742 -1.1389 10.2614
-2.9613 -1.3147 24.0812
-0.6868 -0.1534 12.0580
-1.4741 -0.3293 25.8787
-0.4938 -0.1103 8.6699
-1.2810 -0.2862 22.4895
-1.6927 -1.0313 1.8096
-2.4800 -1.2072 15.6302
-1.8683 -1.0706 4.8919
-2.6555 -1.2464 18.7115
```

Summary:
ΔE_f: -0.92 eV/atom
Space-group type: No. 156
Crystal system: trigonal
Energy above the lowest structure with this stoichiometry: 3.0 meV/atom
MP2020-corrected energy: -7.083 eV per atom

=====

Entry from the Materials Project database: a geometry-optimized Mo2SeS3 structure (PBE-GGA).

Cell and atoms, written as POSCAR:
```
Mo2SeS3
1.0
1.6103 -2.7891 0.0000
1.6103 2.7891 0.0000
0.0000 0.0000 36.3760
Mo Se S
4 2 6
Cartesian
0.0000 0.0000 3.4168
0.0000 0.0000 17.0844
1.6103 0.9297 10.2507
1.6103 0.9297 23.9187
1.6103 0.9297 15.3735
1.6103 0.9297 18.7953
0.0000 0.0000 11.8061
0.0000 0.0000 25.4751
1.6103 0.9297 1.8600
1.6103 0.9297 4.9730
0.0000 0.0000 8.6946
0.0000 0.0000 22.3622
```

Summary:
ΔE_f: -1.06 eV/atom
Space-group type: No. 156
Crystal system: trigonal
Energy above the lowest structure with this stoichiometry: 3.6 meV/atom
MP2020-corrected energy: -7.324 eV per atom

=====

Entry from the Materials Project database: a geometry-optimized MoSeS structure (PBE-GGA).

Cell and atoms, written as POSCAR:
```
MoSeS
1.0
1.6276 -2.8190 0.0000
1.6276 2.8190 0.0000
0.0000 0.0000 36.8452
Mo Se S
4 4 4
Cartesian
1.6276 0.9397 26.4618
1.6276 0.9397 3.4613
1.6276 -0.9397 33.3838
1.6276 -0.9397 10.3834
1.6276 0.9397 35.0812
1.6276 -0.9397 1.7640
1.6276 -0.9397 5.1604
1.6276 0.9397 31.6848
1.6276 0.9397 11.9275
1.6276 -0.9397 24.9177
1.6276 -0.9397 28.0061
1.6276 0.9397 8.8391
```

Summary:
ΔE_f: -0.92 eV/atom
Space-group type: No. 164
Crystal system: trigonal
Energy above the lowest structure with this stoichiometry: 3.5 meV/atom
MP2020-corrected energy: -7.082 eV per atom

=====

Entry from the Materials Project database: a geometry-optimized MoSeS structure (PBE-GGA).

Cell and atoms, written as POSCAR:
```
MoSeS
1.0
-2.5070 -0.8542 1.8944
1.3817 -2.2007 -1.9624
23.2034 -9.1395 26.5859
Mo Se S
4 4 4
Cartesian
2.1796 -0.8585 2.4973
10.8966 -4.2920 12.4850
6.6241 -4.3274 6.8150
15.3431 -7.7617 16.8050
16.3383 -6.4355 18.7201
9.9027 -5.6187 10.5715
12.0628 -6.4696 13.0466
14.1774 -5.5843 16.2442
7.5210 -2.9624 8.6175
1.2815 -2.2230 0.6936
3.2479 -2.9975 2.9466
5.5558 -2.1884 6.3657
```

Summary:
ΔE_f: -0.92 eV/atom
Space-group type: No. 156
Crystal system: trigonal
Energy above the lowest structure with this stoichiometry: 3.7 meV/atom
MP2020-corrected energy: -7.082 eV per atom

=====

no.,volume (Å³/atom)
1,22.21
2,16.41
3,25.99
4,14.04
5,19.54
6,16.36
7,18.06
8,29.42
9,21.13
10,24.63
11,19.41
12,35.18
13,28.18
14,27.23
15,28.18
16,27.89